Entry 1:
Compound: Li3CoPCO7
Source: the Materials Project database
Functional: GGA+U
Structure: relaxed

The structure in POSCAR format:
```
Li3CoPCO7
1.0
6.449 0.000 0.000
-0.050 8.455 0.000
-0.056 -0.898 9.925
O C P Li Co
28 4 4 12 4
direct
0.237 0.838 0.254
0.940 0.687 0.918
0.247 0.435 0.297
0.566 0.691 0.913
0.438 0.308 0.586
0.063 0.309 0.584
0.751 0.065 0.026
0.749 0.892 0.682
0.251 0.928 0.470
0.747 0.419 0.913
0.755 0.155 0.747
0.748 0.074 0.528
0.765 0.575 0.204
0.254 0.580 0.587
0.250 0.433 0.795
0.246 0.103 0.311
0.755 0.569 0.704
0.249 0.926 0.975
0.748 0.422 0.411
0.939 0.694 0.420
0.745 0.146 0.248
0.252 0.107 0.820
0.243 0.581 0.087
0.563 0.693 0.410
0.058 0.308 0.089
0.242 0.844 0.756
0.760 0.886 0.181
0.440 0.316 0.090
0.752 0.038 0.149
0.244 0.961 0.347
0.751 0.039 0.652
0.247 0.962 0.851
0.246 0.410 0.139
0.753 0.590 0.362
0.750 0.582 0.861
0.251 0.413 0.638
0.744 0.901 0.882
0.750 0.341 0.107
0.744 0.909 0.384
0.014 0.278 0.365
0.526 0.723 0.625
0.486 0.276 0.365
0.982 0.726 0.627
0.251 0.102 0.615
0.006 0.274 0.885
0.251 0.109 0.109
0.522 0.719 0.124
0.488 0.276 0.887
0.256 0.662 0.891
0.751 0.332 0.605
0.986 0.732 0.128
0.250 0.664 0.397
```

Computed properties:
Final energy: -6.5641 eV/atom
Distance to the lowest polymorph of the same formula: 16 meV per atom
Formation energy from the elements: -2.282 eV per atom
Total magnetization: 12.0 μB per cell
Calculated density: 2881 kg/m³

=====

Entry 2:
Compound: Li6VCoP2C2O14
Source: the Materials Project database
Functional: GGA+U
Structure: relaxed

The structure in POSCAR format:
```
Li6VCoP2C2O14
1.0
0.472 4.979 6.541
-0.472 -4.980 6.542
8.497 0.136 0.000
O Li C P Co V
28 12 4 4 2 2
direct
0.637 0.797 0.307
0.377 0.873 0.837
0.136 0.297 0.307
0.322 0.929 0.103
0.363 0.201 0.694
0.460 0.290 0.425
0.453 0.613 0.306
0.953 0.114 0.307
0.863 0.701 0.694
0.167 0.583 0.569
0.335 0.915 0.436
0.118 0.632 0.158
0.661 0.589 0.933
0.835 0.415 0.436
0.667 0.083 0.569
0.877 0.373 0.837
0.960 0.790 0.425
0.049 0.887 0.694
0.044 0.206 0.576
0.835 0.915 0.067
0.821 0.429 0.103
0.178 0.572 0.893
0.335 0.415 0.067
0.618 0.132 0.158
0.678 0.072 0.893
0.161 0.088 0.933
0.549 0.387 0.694
0.544 0.706 0.576
0.477 0.273 0.896
0.145 0.877 0.278
0.645 0.377 0.278
0.522 0.728 0.106
0.126 0.392 0.724
0.022 0.228 0.106
0.626 0.892 0.724
0.373 0.105 0.278
0.858 0.124 0.724
0.977 0.773 0.896
0.358 0.623 0.723
0.873 0.605 0.278
0.286 0.964 0.960
0.786 0.464 0.960
0.711 0.039 0.036
0.211 0.539 0.036
0.010 0.740 0.590
0.510 0.240 0.590
0.992 0.258 0.412
0.492 0.758 0.412
0.731 0.519 0.670
0.231 0.019 0.670
0.271 0.479 0.327
0.771 0.979 0.327
```

Computed properties:
Final energy: -6.7198 eV/atom
Formation energy from the elements: -2.364 eV per atom
Total magnetization: 6.0 μB per cell
Calculated density: 2773 kg/m³

=====

Entry 3:
Compound: Li4Co2C4SO16
Source: the Materials Project database
Functional: GGA+U
Structure: relaxed

The structure in POSCAR format:
```
Li4Co2C4SO16
1.0
-5.183 -7.368 -1.578
3.153 -0.121 -8.595
6.050 -0.208 6.984
C O Li Co S
8 32 8 4 2
direct
0.721 0.287 0.571
0.355 0.284 0.572
0.716 0.643 0.924
0.710 0.277 0.925
0.281 0.710 0.426
0.287 0.718 0.068
0.646 0.715 0.424
0.283 0.349 0.071
0.638 0.698 0.274
0.299 0.862 0.451
0.945 0.077 0.129
0.137 0.700 0.047
0.932 0.330 0.373
0.415 0.347 0.053
0.416 0.870 0.214
0.856 0.638 0.050
0.138 0.349 0.943
0.307 0.592 0.940
0.706 0.135 0.549
0.069 0.957 0.641
0.863 0.293 0.948
0.693 0.402 0.058
0.060 0.943 0.891
0.593 0.301 0.436
0.328 0.948 0.891
0.069 0.685 0.640
0.862 0.420 0.720
0.673 0.068 0.130
0.578 0.133 0.775
0.699 0.643 0.777
0.359 0.142 0.444
0.358 0.298 0.719
0.343 0.414 0.549
0.653 0.585 0.447
0.928 0.060 0.377
0.299 0.342 0.215
0.653 0.863 0.558
0.405 0.692 0.560
0.586 0.655 0.949
0.139 0.576 0.275
0.329 0.083 0.175
0.680 0.340 0.255
0.334 0.664 0.748
0.678 0.915 0.249
0.323 0.078 0.730
0.914 0.085 0.749
0.919 0.673 0.762
0.074 0.337 0.255
0.999 0.499 0.998
0.500 0.499 0.998
0.501 0.998 0.499
0.499 0.499 0.500
0.872 0.130 0.252
0.129 0.881 0.761
```

Computed properties:
Final energy: -6.5705 eV/atom
Distance to the lowest polymorph of the same formula: 0 meV per atom
Formation energy from the elements: -1.837 eV per atom
Total magnetization: 0.0 μB per cell
Calculated density: 2862 kg/m³

=====

Entry 4:
Compound: Li4Co2C4SO16
Source: the Materials Project database
Functional: GGA+U
Structure: relaxed

The structure in POSCAR format:
```
Li4Co2C4SO16
1.0
4.322 -5.378 6.527
-9.089 -1.738 -2.165
-2.201 -7.923 -4.754
O C Co Li S
32 8 4 8 2
direct
0.316 0.444 0.397
0.943 0.626 0.932
0.587 0.289 0.857
0.317 0.377 0.060
0.932 0.874 0.943
0.130 0.793 0.408
0.702 0.289 0.354
0.683 0.626 0.941
0.060 0.123 0.317
0.658 0.056 0.129
0.063 0.123 0.060
0.661 0.967 0.394
0.704 0.039 0.865
0.859 0.559 0.353
0.663 0.793 0.299
0.354 0.211 0.702
0.865 0.461 0.704
0.394 0.533 0.661
0.060 0.377 0.063
0.335 0.039 0.596
0.941 0.874 0.683
0.129 0.444 0.658
0.588 0.941 0.699
0.596 0.461 0.335
0.307 0.967 0.138
0.408 0.707 0.130
0.857 0.211 0.587
0.299 0.707 0.663
0.397 0.056 0.316
0.353 0.941 0.859
0.138 0.533 0.307
0.699 0.559 0.588
0.348 0.065 0.719
0.716 0.435 0.717
0.276 0.563 0.658
0.279 0.937 0.286
0.286 0.563 0.279
0.719 0.435 0.348
0.658 0.937 0.276
0.717 0.065 0.716
0.498 0.002 0.000
0.000 0.498 0.498
0.498 0.498 0.503
0.503 0.002 0.498
0.909 0.250 0.341
0.341 0.250 0.909
0.908 0.815 0.342
0.343 0.250 0.343
0.907 0.250 0.907
0.086 0.750 0.664
0.664 0.750 0.086
0.342 0.685 0.908
0.125 0.250 0.125
0.875 0.750 0.875
```

Computed properties:
Final energy: -6.5592 eV/atom
Distance to the lowest polymorph of the same formula: 11 meV per atom
Formation energy from the elements: -1.826 eV per atom
Total magnetization: 14.4 μB per cell
Calculated density: 2608 kg/m³

=====

Entry 5:
Compound: Li4Co2C4SO16
Source: the Materials Project database
Functional: GGA+U
Structure: relaxed

The structure in POSCAR format:
```
Li4Co2C4SO16
1.0
6.639 -2.163 6.631
-1.961 -0.236 9.359
-0.364 -8.207 4.199
O Co Li C S
32 4 8 8 2
direct
0.323 0.204 0.982
0.764 0.935 0.286
0.486 0.315 0.964
0.935 0.764 0.016
0.927 0.046 0.268
0.964 0.234 0.486
0.963 0.340 0.213
0.287 0.910 0.037
0.315 0.486 0.234
0.340 0.963 0.485
0.982 0.491 0.323
0.692 0.693 0.944
0.485 0.213 0.340
0.306 0.579 0.558
0.037 0.765 0.287
0.234 0.964 0.315
0.491 0.982 0.204
0.765 0.037 0.910
0.558 0.557 0.306
0.671 0.944 0.693
0.759 0.268 0.046
0.046 0.927 0.759
0.944 0.671 0.692
0.213 0.485 0.963
0.268 0.759 0.927
0.579 0.306 0.557
0.910 0.287 0.765
0.016 0.286 0.935
0.557 0.558 0.579
0.286 0.016 0.764
0.693 0.692 0.671
0.204 0.323 0.491
0.125 0.125 0.125
0.625 0.125 0.125
0.125 0.125 0.625
0.125 0.625 0.125
0.705 0.295 0.705
0.706 0.294 0.294
0.294 0.706 0.706
0.545 0.955 0.545
0.544 0.956 0.956
0.295 0.705 0.295
0.955 0.545 0.955
0.956 0.544 0.544
0.917 0.910 0.895
0.279 0.895 0.910
0.895 0.279 0.917
0.355 0.971 0.333
0.340 0.333 0.971
0.333 0.340 0.355
0.971 0.355 0.340
0.910 0.917 0.279
0.750 0.750 0.750
0.500 0.500 0.500
```

Computed properties:
Final energy: -6.5633 eV/atom
Distance to the lowest polymorph of the same formula: 7 meV per atom
Formation energy from the elements: -1.830 eV per atom
Total magnetization: 0.0 μB per cell
Calculated density: 2671 kg/m³

=====

Entry 6:
Compound: Li3CoSiCO7
Source: the Materials Project database
Functional: GGA+U
Structure: relaxed

The structure in POSCAR format:
```
Li3CoSiCO7
1.0
6.290 0.000 0.000
0.000 5.036 0.000
0.000 0.707 8.365
O Li Co Si C
14 6 2 2 2
direct
0.250 0.350 0.115
0.750 0.170 0.406
0.250 0.046 0.931
0.250 0.830 0.594
0.250 0.479 0.853
0.050 0.812 0.304
0.750 0.521 0.147
0.750 0.954 0.069
0.750 0.650 0.885
0.550 0.188 0.696
0.450 0.812 0.304
0.250 0.380 0.447
0.950 0.188 0.696
0.750 0.620 0.553
0.480 0.245 0.278
0.020 0.245 0.278
0.250 0.756 0.102
0.980 0.755 0.722
0.750 0.244 0.898
0.520 0.755 0.722
0.250 0.198 0.669
0.750 0.802 0.331
0.250 0.709 0.421
0.750 0.291 0.579
0.250 0.290 0.968
0.750 0.710 0.032
```

Computed properties:
Final energy: -6.5089 eV/atom
Formation energy from the elements: -2.226 eV per atom
Total magnetization: 0.0 μB per cell
Calculated density: 2906 kg/m³

=====

Entry 7:
Compound: Mg14CoCO16
Source: the Materials Project database
Functional: GGA+U
Structure: relaxed

The structure in POSCAR format:
```
Mg14CoCO16
1.0
-6.638 4.269 3.205
2.411 -2.165 7.878
2.361 3.493 0.237
O Mg Co C
16 14 1 1
direct
0.751 0.500 0.000
0.253 0.000 0.000
0.747 0.000 0.000
0.000 0.500 0.500
0.500 0.751 0.000
0.750 0.250 0.500
0.500 0.249 0.000
0.000 0.747 0.000
0.750 0.750 0.500
0.000 0.000 0.500
0.250 0.250 0.500
0.249 0.500 0.000
0.500 0.000 0.500
0.500 0.500 0.500
0.250 0.750 0.500
0.000 0.253 0.000
0.253 0.500 0.500
0.251 0.251 0.000
0.749 0.251 0.000
0.251 0.000 0.500
0.251 0.749 0.000
0.749 0.749 0.000
0.000 0.500 0.000
0.000 0.749 0.500
0.747 0.500 0.500
0.000 0.251 0.500
0.500 0.000 0.000
0.749 0.000 0.500
0.500 0.747 0.500
0.500 0.253 0.500
0.000 0.000 0.000
0.500 0.500 0.000
```

Computed properties:
Final energy: -5.8846 eV/atom
Distance to the lowest polymorph of the same formula: 20 meV per atom
Formation energy from the elements: -2.595 eV per atom
Total magnetization: 3.0 μB per cell
Calculated density: 3616 kg/m³

=====

Entry 8:
Compound: Mg14CoCO16
Source: the Materials Project database
Functional: GGA+U
Structure: relaxed

The structure in POSCAR format:
```
Mg14CoCO16
1.0
-4.811 -1.913 6.739
-0.391 -8.120 -2.584
3.484 -0.880 2.237
O Mg C Co
16 14 1 1
direct
0.751 0.250 0.500
0.748 0.500 0.000
0.000 0.746 0.000
0.500 0.250 0.000
0.751 0.750 0.500
0.500 0.000 0.500
0.500 0.500 0.500
0.751 0.000 0.000
0.249 0.750 0.500
0.000 0.500 0.500
0.500 0.750 0.000
0.249 0.000 0.000
0.249 0.250 0.500
0.000 0.254 0.000
0.000 0.000 0.500
0.252 0.500 0.000
0.250 0.000 0.500
0.500 0.000 0.000
0.750 0.000 0.500
0.500 0.749 0.500
0.500 0.500 0.000
0.246 0.500 0.500
0.000 0.747 0.500
0.754 0.500 0.500
0.246 0.252 0.000
0.754 0.252 0.000
0.500 0.251 0.500
0.754 0.748 0.000
0.246 0.748 0.000
0.000 0.253 0.500
0.000 0.500 0.000
0.000 0.000 0.000
```

Computed properties:
Final energy: -5.9046 eV/atom
Distance to the lowest polymorph of the same formula: 0 meV per atom
Formation energy from the elements: -2.615 eV per atom
Total magnetization: 3.0 μB per cell
Calculated density: 3611 kg/m³

=====

Entry 9:
Compound: Mg6CoCO8
Source: the Materials Project database
Functional: GGA+U
Structure: relaxed

The structure in POSCAR format:
```
Mg6CoCO8
1.0
-4.783 -5.550 4.311
0.212 -2.700 -3.241
3.485 -1.716 1.658
Mg O C Co
6 8 1 1
direct
0.747 0.000 0.500
0.253 0.000 0.500
0.500 0.500 0.500
0.000 0.500 0.500
0.747 0.500 0.000
0.253 0.500 0.000
0.500 0.000 0.500
0.000 0.500 0.000
0.252 0.500 0.500
0.252 0.000 0.000
0.500 0.500 0.000
0.748 0.000 0.000
0.000 0.000 0.500
0.748 0.500 0.500
0.500 0.000 0.000
0.000 0.000 0.000
```

Computed properties:
Final energy: -5.7986 eV/atom
Distance to the lowest polymorph of the same formula: 0 meV per atom
Formation energy from the elements: -2.149 eV per atom
Total magnetization: 3.0 μB per cell
Calculated density: 3775 kg/m³